Entry 1:
{"formula": "U4B3Ru12", "functional": "PBE", "state": "relaxed", "lattice": [[4.1560, 0.0000, 0.0000], [0.0000, 4.1560, 0.0000], [0.0000, 0.0000, 16.3821]], "species": ["U", "U", "U", "U", "B", "B", "B", "Ru", "Ru", "Ru", "Ru", "Ru", "Ru", "Ru", "Ru", "Ru", "Ru", "Ru", "Ru"], "fractional_positions": [[0.0000, 0.0000, 0.1163], [0.0000, 0.0000, 0.3724], [0.0000, 0.0000, 0.6276], [0.0000, 0.0000, 0.8837], [0.5000, 0.5000, 0.2399], [0.5000, 0.5000, 0.5000], [0.5000, 0.5000, 0.7601], [0.0000, 0.5000, 0.0000], [0.0000, 0.5000, 0.2484], [0.0000, 0.5000, 0.5000], [0.0000, 0.5000, 0.7516], [0.5000, 0.0000, 0.0000], [0.5000, 0.0000, 0.2484], [0.5000, 0.0000, 0.5000], [0.5000, 0.0000, 0.7516], [0.5000, 0.5000, 0.1165], [0.5000, 0.5000, 0.3721], [0.5000, 0.5000, 0.6279], [0.5000, 0.5000, 0.8835]], "magmom_total_mub_per_cell": 0.773, "sg": "P4/mmm (123)", "vol_a3_per_atom": 14.89}

Entry 2:
{"formula": "UB4Ru", "functional": "PBE", "state": "relaxed", "lattice": [[3.6604, -4.6951, 0.0000], [3.6604, 4.6951, 0.0000], [0.0000, 0.0000, 3.5312]], "species": ["U", "U", "B", "B", "B", "B", "B", "B", "B", "B", "Ru", "Ru"], "fractional_positions": [[0.2000, 0.8000, 0.0000], [0.8000, 0.2000, 0.0000], [0.1158, 0.4345, 0.5000], [0.1203, 0.1203, 0.5000], [0.4073, 0.5927, 0.5000], [0.4345, 0.1158, 0.5000], [0.5655, 0.8842, 0.5000], [0.5927, 0.4073, 0.5000], [0.8797, 0.8797, 0.5000], [0.8842, 0.5655, 0.5000], [0.3135, 0.3135, 0.0000], [0.6865, 0.6865, 0.0000]], "sg": "Cmmm (65)", "vol_a3_per_atom": 10.11}

Entry 3:
{"formula": "UB4Ru4", "functional": "PBE", "state": "relaxed", "lattice": [[-3.7381, 3.7381, 7.5248], [3.7381, -3.7381, 7.5248], [3.7381, 3.7381, -7.5248]], "species": ["U", "U", "U", "U", "B", "B", "B", "B", "B", "B", "B", "B", "B", "B", "B", "B", "B", "B", "B", "B", "Ru", "Ru", "Ru", "Ru", "Ru", "Ru", "Ru", "Ru", "Ru", "Ru", "Ru", "Ru", "Ru", "Ru", "Ru", "Ru"], "fractional_positions": [[0.1250, 0.3750, 0.7500], [0.3750, 0.1250, 0.2500], [0.6250, 0.8750, 0.7500], [0.8750, 0.6250, 0.2500], [0.0669, 0.1272, 0.2788], [0.1272, 0.3484, 0.0603], [0.1516, 0.3728, 0.4397], [0.2119, 0.9331, 0.5603], [0.2881, 0.8484, 0.7212], [0.3484, 0.7881, 0.2212], [0.3728, 0.4331, 0.2212], [0.4331, 0.7119, 0.0603], [0.5669, 0.2881, 0.9397], [0.6272, 0.5669, 0.7788], [0.6516, 0.2119, 0.7788], [0.7119, 0.1516, 0.2788], [0.7881, 0.0669, 0.4397], [0.8484, 0.6272, 0.5603], [0.8728, 0.6516, 0.9397], [0.9331, 0.8728, 0.7212], [0.0342, 0.8233, 0.9833], [0.0508, 0.0342, 0.7108], [0.1600, 0.6767, 0.7108], [0.1767, 0.6600, 0.2108], [0.3233, 0.5342, 0.4833], [0.3400, 0.0508, 0.5167], [0.4492, 0.1600, 0.9833], [0.4658, 0.4492, 0.7892], [0.5342, 0.5508, 0.2108], [0.5508, 0.8400, 0.0167], [0.6600, 0.9492, 0.4833], [0.6767, 0.4658, 0.5167], [0.8233, 0.3400, 0.7892], [0.8400, 0.3233, 0.2892], [0.9492, 0.9658, 0.2892], [0.9658, 0.1767, 0.0167]], "sg": "I4_1/acd (142)", "vol_a3_per_atom": 11.68}

Entry 4:
{"formula": "UB2Ru2", "functional": "PBE", "state": "relaxed", "lattice": [[-3.2354, 3.2354, 12.8571], [3.2354, -3.2354, 12.8571], [3.2354, 3.2354, -12.8571]], "species": ["U", "U", "U", "U", "U", "U", "U", "U", "B", "B", "B", "B", "B", "B", "B", "B", "B", "B", "B", "B", "B", "B", "B", "B", "Ru", "Ru", "Ru", "Ru", "Ru", "Ru", "Ru", "Ru", "Ru", "Ru", "Ru", "Ru", "Ru", "Ru", "Ru", "Ru"], "fractional_positions": [[0.0000, 0.0000, 0.0000], [0.0000, 0.0000, 0.5000], [0.0000, 0.5000, 0.0000], [0.0000, 0.5000, 0.5000], [0.5000, 0.0000, 0.0000], [0.5000, 0.0000, 0.5000], [0.5000, 0.5000, 0.0000], [0.5000, 0.5000, 0.5000], [0.0154, 0.3870, 0.5984], [0.0830, 0.2114, 0.5984], [0.1130, 0.4846, 0.9016], [0.2114, 0.1130, 0.1284], [0.2886, 0.4170, 0.9016], [0.3870, 0.2886, 0.3716], [0.4170, 0.0154, 0.1284], [0.4846, 0.0830, 0.3716], [0.5154, 0.9170, 0.6284], [0.5830, 0.9846, 0.8716], [0.6130, 0.7114, 0.6284], [0.7114, 0.5830, 0.0984], [0.7886, 0.8870, 0.8716], [0.8870, 0.5154, 0.0984], [0.9170, 0.7886, 0.4016], [0.9846, 0.6130, 0.4016], [0.0815, 0.7279, 0.9691], [0.1124, 0.0815, 0.8536], [0.2279, 0.5815, 0.4691], [0.2412, 0.7721, 0.8536], [0.2588, 0.1124, 0.5309], [0.2721, 0.7412, 0.3536], [0.3876, 0.2412, 0.9691], [0.4185, 0.3876, 0.6464], [0.5815, 0.6124, 0.3536], [0.6124, 0.7588, 0.0309], [0.7279, 0.2588, 0.6464], [0.7412, 0.8876, 0.4691], [0.7588, 0.2279, 0.1464], [0.7721, 0.4185, 0.5309], [0.8876, 0.9185, 0.1464], [0.9185, 0.2721, 0.0309]], "magmom_total_mub_per_cell": 10.029, "sg": "I4_1/acd (142)", "vol_a3_per_atom": 13.46}

Entry 5:
{"formula": "VB2Ru", "functional": "PBE", "state": "relaxed", "lattice": [[2.9318, 0.0000, 0.0000], [0.0000, 4.3383, 0.0000], [0.0000, 0.0000, 5.9723]], "species": ["V", "V", "B", "B", "B", "B", "Ru", "Ru"], "fractional_positions": [[0.0000, 0.1315, 0.0000], [0.0000, 0.8685, 0.5000], [0.0000, 0.3532, 0.6536], [0.0000, 0.6468, 0.1536], [0.5000, 0.1432, 0.7149], [0.5000, 0.8568, 0.2149], [0.5000, 0.3576, 0.3613], [0.5000, 0.6424, 0.8613]], "magmom_total_mub_per_cell": 0.009, "sg": "Pmc2_1 (26)", "vol_a3_per_atom": 9.50}

Entry 6:
{"formula": "YB4Ru", "functional": "PBE", "state": "relaxed", "lattice": [[5.9685, 0.0000, 0.0000], [0.0000, 11.5450, 0.0000], [0.0000, 0.0000, 3.5631]], "species": ["Y", "Y", "Y", "Y", "B", "B", "B", "B", "B", "B", "B", "B", "B", "B", "B", "B", "B", "B", "B", "B", "Ru", "Ru", "Ru", "Ru"], "fractional_positions": [[0.1297, 0.1498, 0.0000], [0.3703, 0.6498, 0.0000], [0.6297, 0.3502, 0.0000], [0.8703, 0.8502, 0.0000], [0.0228, 0.6918, 0.5000], [0.1120, 0.5468, 0.5000], [0.1360, 0.9697, 0.5000], [0.2100, 0.8145, 0.5000], [0.2900, 0.3145, 0.5000], [0.3640, 0.4697, 0.5000], [0.3880, 0.0468, 0.5000], [0.4772, 0.1918, 0.5000], [0.5228, 0.8082, 0.5000], [0.6120, 0.9532, 0.5000], [0.6360, 0.5303, 0.5000], [0.7100, 0.6855, 0.5000], [0.7900, 0.1855, 0.5000], [0.8640, 0.0303, 0.5000], [0.8880, 0.4532, 0.5000], [0.9772, 0.3082, 0.5000], [0.1407, 0.4075, 0.0000], [0.3593, 0.9075, 0.0000], [0.6407, 0.0925, 0.0000], [0.8593, 0.5925, 0.0000]], "sg": "Pbam (55)", "vol_a3_per_atom": 10.23}

Energy relative to the elements
In order: -8.868 -12.311 -9.766 1.899 -11.446 -14.388
Unit: kcal/mol of atoms
Mass density
In order: 12.896 10.462 10.827 11.395 7.591 6.309
Unit: g/cm³